# CsCrH8N2O8 | the Materials Project database | PBE with a Hubbard U | relaxed
data_CsCrH8N2O8
_chemical_formula_sum 'Cs1 Cr1 H8 N2 O8'
_cell_length_a 6.596
_cell_length_b 6.596
_cell_length_c 6.596
_cell_angle_alpha 99.61
_cell_angle_beta 114.62
_cell_angle_gamma 114.62
_space_group_name_H-M_alt 'P 1'
_space_group_IT_number 1
_space_group_name_Hall 'P 1'
loop_
_atom_site_label
_atom_site_type_symbol
_atom_site_fract_x
_atom_site_fract_y
_atom_site_fract_z
_atom_site_occupancy
Cs1 Cs 0.000 0.000 0.000 1
Cr1 Cr 0.000 0.500 0.500 1
H1 H 0.627 0.302 0.688 1
H2 H 0.373 0.061 0.676 1
H3 H 0.386 0.698 0.324 1
H4 H 0.614 0.939 0.312 1
H5 H 0.614 0.312 0.939 1
H6 H 0.386 0.324 0.698 1
H7 H 0.627 0.688 0.302 1
H8 H 0.373 0.676 0.061 1
N1 N 0.500 0.250 0.750 1
N2 N 0.500 0.750 0.250 1
O1 O 0.732 0.526 0.526 1
O2 O 0.268 0.794 0.794 1
O3 O 0.000 0.474 0.206 1
O4 O 0.000 0.206 0.474 1
O5 O 0.610 0.310 0.310 1
O6 O 0.390 0.700 0.700 1
O7 O 0.000 0.690 0.300 1
O8 O 0.000 0.300 0.690 1
# Total magnetic moment: 1.00 μB/f.u.
# Energy of formation: -659 meV/atom
# SG: I-42m (121)

=====

# LiDy2Mn4O8 | the Materials Project database | PBE with a Hubbard U | relaxed
data_LiDy2Mn4O8
_chemical_formula_sum 'Li1 Dy2 Mn4 O8'
_cell_length_a 6.207
_cell_length_b 6.656
_cell_length_c 6.626
_cell_angle_alpha 58.39
_cell_angle_beta 62.84
_cell_angle_gamma 62.59
_space_group_name_H-M_alt 'P 1'
_space_group_IT_number 1
_space_group_name_Hall 'P 1'
loop_
_atom_site_label
_atom_site_type_symbol
_atom_site_fract_x
_atom_site_fract_y
_atom_site_fract_z
_atom_site_occupancy
Li1 Li 0.895 0.356 0.344 1
Dy1 Dy 0.181 0.088 0.087 1
Dy2 Dy 0.865 0.889 0.882 1
Mn1 Mn 0.495 0.019 0.491 1
Mn2 Mn 0.969 0.541 0.541 1
Mn3 Mn 0.493 0.497 0.017 1
Mn4 Mn 0.461 0.530 0.527 1
O1 O 0.725 0.756 0.753 1
O2 O 0.285 0.279 0.687 1
O3 O 0.279 0.690 0.279 1
O4 O 0.780 0.224 0.220 1
O5 O 0.725 0.299 0.706 1
O6 O 0.265 0.751 0.746 1
O7 O 0.255 0.250 0.244 1
O8 O 0.721 0.712 0.293 1
# Offset from the most stable computed form: 0 meV/atom
# Total magnetic moment: 19.00 μB/f.u.
# Energy of formation: -2515 meV/atom
# SG: P1 (1)

=====

# La2MnSe2O2 | the Materials Project database | PBE with a Hubbard U | relaxed
data_La2MnSe2O2
_chemical_formula_sum 'La16 Mn8 Se16 O16'
_cell_length_a 4.034
_cell_length_b 16.636
_cell_length_c 17.846
_cell_angle_alpha 90.00
_cell_angle_beta 90.00
_cell_angle_gamma 90.00
_space_group_name_H-M_alt 'P 1'
_space_group_IT_number 1
_space_group_name_Hall 'P 1'
loop_
_atom_site_label
_atom_site_type_symbol
_atom_site_fract_x
_atom_site_fract_y
_atom_site_fract_z
_atom_site_occupancy
La1 La 0.001 0.978 0.089 1
La2 La 0.501 0.022 0.911 1
La3 La 0.501 0.478 0.411 1
La4 La 0.001 0.522 0.589 1
La5 La 0.505 0.484 0.089 1
La6 La 0.005 0.516 0.911 1
La7 La 0.005 0.984 0.411 1
La8 La 0.505 0.016 0.589 1
La9 La 0.006 0.677 0.084 1
La10 La 0.506 0.323 0.916 1
La11 La 0.506 0.177 0.416 1
La12 La 0.006 0.823 0.584 1
La13 La 0.502 0.170 0.086 1
La14 La 0.002 0.830 0.914 1
La15 La 0.002 0.670 0.414 1
La16 La 0.502 0.330 0.586 1
Mn1 Mn 0.017 0.388 0.751 1
Mn2 Mn 0.517 0.612 0.249 1
Mn3 Mn 0.517 0.888 0.749 1
Mn4 Mn 0.017 0.112 0.251 1
Mn5 Mn 0.509 0.835 0.277 1
Mn6 Mn 0.009 0.165 0.723 1
Mn7 Mn 0.009 0.335 0.223 1
Mn8 Mn 0.509 0.665 0.777 1
Se1 Se 0.001 0.012 0.749 1
Se2 Se 0.501 0.988 0.251 1
Se3 Se 0.501 0.512 0.751 1
Se4 Se 0.001 0.488 0.249 1
Se5 Se 0.002 0.330 0.075 1
Se6 Se 0.502 0.670 0.925 1
Se7 Se 0.502 0.830 0.425 1
Se8 Se 0.002 0.170 0.575 1
Se9 Se 0.506 0.828 0.063 1
Se10 Se 0.006 0.172 0.937 1
Se11 Se 0.006 0.328 0.437 1
Se12 Se 0.506 0.672 0.563 1
Se13 Se 0.009 0.759 0.748 1
Se14 Se 0.509 0.241 0.252 1
Se15 Se 0.509 0.259 0.752 1
Se16 Se 0.009 0.741 0.248 1
O1 O 0.002 0.117 0.137 1
O2 O 0.502 0.883 0.863 1
O3 O 0.502 0.617 0.363 1
O4 O 0.002 0.383 0.637 1
O5 O 0.507 0.622 0.134 1
O6 O 0.007 0.378 0.866 1
O7 O 0.007 0.122 0.366 1
O8 O 0.507 0.878 0.634 1
O9 O 0.001 0.537 0.454 1
O10 O 0.501 0.463 0.546 1
O11 O 0.501 0.037 0.046 1
O12 O 0.001 0.963 0.954 1
O13 O 0.505 0.042 0.457 1
O14 O 0.005 0.958 0.543 1
O15 O 0.005 0.542 0.043 1
O16 O 0.505 0.458 0.957 1
# Offset from the most stable computed form: 0 meV/atom
# Total magnetic moment: 5.00 μB/f.u.
# Energy of formation: -2600 meV/atom
# SG: Pna2_1 (33)

=====

# Li9Mn2Co5O16 | the Materials Project database | PBE with a Hubbard U | relaxed
data_Li9Mn2Co5O16
_chemical_formula_sum 'Li9 Mn2 Co5 O16'
_cell_length_a 3.031
_cell_length_b 9.993
_cell_length_c 10.117
_cell_angle_alpha 106.40
_cell_angle_beta 91.55
_cell_angle_gamma 92.46
_space_group_name_H-M_alt 'P 1'
_space_group_IT_number 1
_space_group_name_Hall 'P 1'
loop_
_atom_site_label
_atom_site_type_symbol
_atom_site_fract_x
_atom_site_fract_y
_atom_site_fract_z
_atom_site_occupancy
Li1 Li 0.999 0.253 0.256 1
Li2 Li 0.504 0.500 0.746 1
Li3 Li 0.997 0.750 0.252 1
Li4 Li 0.504 0.501 0.252 1
Li5 Li 0.003 0.749 0.748 1
Li6 Li 0.495 0.999 0.255 1
Li7 Li 0.497 0.999 0.746 1
Li8 Li 0.001 0.248 0.745 1
Li9 Li 0.500 0.250 0.500 1
Mn1 Mn 0.999 0.003 0.002 1
Mn2 Mn 0.504 0.748 0.000 1
Co1 Co 0.002 0.495 0.999 1
Co2 Co 0.500 0.750 0.500 1
Co3 Co 0.002 0.491 0.498 1
Co4 Co 0.998 0.009 0.502 1
Co5 Co 0.496 0.251 0.999 1
O1 O 0.473 0.129 0.116 1
O2 O 0.997 0.391 0.614 1
O3 O 0.506 0.624 0.116 1
O4 O 0.970 0.373 0.112 1
O5 O 0.471 0.626 0.613 1
O6 O 0.970 0.876 0.116 1
O7 O 0.004 0.880 0.610 1
O8 O 0.479 0.114 0.614 1
O9 O 0.523 0.386 0.386 1
O10 O 0.032 0.622 0.884 1
O11 O 0.528 0.874 0.387 1
O12 O 0.996 0.621 0.390 1
O13 O 0.532 0.875 0.883 1
O14 O 0.003 0.109 0.385 1
O15 O 0.027 0.131 0.888 1
O16 O 0.490 0.373 0.884 1
# Offset from the most stable computed form: 80 meV/atom
# Total magnetic moment: 13.98 μB/f.u.
# Energy of formation: -1784 meV/atom
# SG: P1 (1)

=====

# Ba5Y2CuMo2O15 | the Materials Project database | PBE with a Hubbard U | relaxed
data_Ba5Y2CuMo2O15
_chemical_formula_sum 'Ba10 Y4 Cu2 Mo4 O30'
_cell_length_a 6.021
_cell_length_b 8.477
_cell_length_c 15.896
_cell_angle_alpha 74.54
_cell_angle_beta 79.08
_cell_angle_gamma 90.00
_space_group_name_H-M_alt 'P 1'
_space_group_IT_number 1
_space_group_name_Hall 'P 1'
loop_
_atom_site_label
_atom_site_type_symbol
_atom_site_fract_x
_atom_site_fract_y
_atom_site_fract_z
_atom_site_occupancy
Ba1 Ba 0.703 0.448 0.595 1
Ba2 Ba 0.101 0.850 0.798 1
Ba3 Ba 0.500 0.261 0.000 1
Ba4 Ba 0.899 0.648 0.202 1
Ba5 Ba 0.297 0.043 0.405 1
Ba6 Ba 0.703 0.957 0.595 1
Ba7 Ba 0.101 0.352 0.798 1
Ba8 Ba 0.500 0.739 0.000 1
Ba9 Ba 0.899 0.150 0.202 1
Ba10 Ba 0.297 0.552 0.405 1
Y1 Y 0.000 0.500 0.000 1
Y2 Y 0.000 0.000 0.000 1
Y3 Y 0.397 0.397 0.205 1
Y4 Y 0.603 0.603 0.795 1
Cu1 Cu 0.800 0.800 0.399 1
Cu2 Cu 0.200 0.200 0.601 1
Mo1 Mo 0.397 0.897 0.205 1
Mo2 Mo 0.797 0.297 0.405 1
Mo3 Mo 0.203 0.703 0.595 1
Mo4 Mo 0.603 0.103 0.795 1
O1 O 0.201 0.467 0.598 1
O2 O 0.603 0.873 0.795 1
O3 O 0.000 0.246 0.000 1
O4 O 0.397 0.667 0.205 1
O5 O 0.799 0.065 0.402 1
O6 O 0.385 0.657 0.687 1
O7 O 0.783 0.055 0.890 1
O8 O 0.199 0.447 0.106 1
O9 O 0.586 0.853 0.295 1
O10 O 0.985 0.252 0.496 1
O11 O 0.481 0.748 0.504 1
O12 O 0.881 0.147 0.705 1
O13 O 0.305 0.553 0.894 1
O14 O 0.673 0.945 0.110 1
O15 O 0.072 0.343 0.313 1
O16 O 0.201 0.935 0.598 1
O17 O 0.603 0.333 0.795 1
O18 O 0.000 0.754 0.000 1
O19 O 0.397 0.127 0.205 1
O20 O 0.799 0.533 0.402 1
O21 O 0.015 0.748 0.504 1
O22 O 0.414 0.147 0.705 1
O23 O 0.801 0.553 0.894 1
O24 O 0.217 0.945 0.110 1
O25 O 0.615 0.343 0.313 1
O26 O 0.928 0.657 0.687 1
O27 O 0.327 0.055 0.890 1
O28 O 0.695 0.447 0.106 1
O29 O 0.119 0.853 0.295 1
O30 O 0.519 0.252 0.496 1
# Total magnetic moment: 1.00 μB/f.u.
# Energy of formation: -2806 meV/atom
# SG: Immm (71)

=====

# Li4Co3O7 | the Materials Project database | PBE with a Hubbard U | relaxed
data_Li4Co3O7
_chemical_formula_sum 'Li8 Co6 O14'
_cell_length_a 9.839
_cell_length_b 9.839
_cell_length_c 9.740
_cell_angle_alpha 63.95
_cell_angle_beta 63.95
_cell_angle_gamma 17.23
_space_group_name_H-M_alt 'P 1'
_space_group_IT_number 1
_space_group_name_Hall 'P 1'
loop_
_atom_site_label
_atom_site_type_symbol
_atom_site_fract_x
_atom_site_fract_y
_atom_site_fract_z
_atom_site_occupancy
Li1 Li 0.431 0.431 0.780 1
Li2 Li 0.141 0.141 0.928 1
Li3 Li 0.859 0.859 0.072 1
Li4 Li 0.569 0.569 0.220 1
Li5 Li 0.290 0.290 0.352 1
Li6 Li 0.000 0.000 0.500 1
Li7 Li 0.710 0.710 0.648 1
Li8 Li 0.500 0.500 0.000 1
Co1 Co 0.068 0.068 0.726 1
Co2 Co 0.932 0.932 0.274 1
Co3 Co 0.787 0.787 0.855 1
Co4 Co 0.213 0.213 0.145 1
Co5 Co 0.640 0.640 0.432 1
Co6 Co 0.360 0.360 0.568 1
O1 O 0.541 0.541 0.607 1
O2 O 0.256 0.256 0.744 1
O3 O 0.976 0.976 0.871 1
O4 O 0.682 0.682 0.039 1
O5 O 0.396 0.396 0.184 1
O6 O 0.110 0.110 0.328 1
O7 O 0.833 0.833 0.451 1
O8 O 0.318 0.318 0.961 1
O9 O 0.024 0.024 0.129 1
O10 O 0.744 0.744 0.256 1
O11 O 0.459 0.459 0.393 1
O12 O 0.167 0.167 0.549 1
O13 O 0.890 0.890 0.672 1
O14 O 0.604 0.604 0.816 1
# Offset from the most stable computed form: 35 meV/atom
# Total magnetic moment: 1.00 μB/f.u.
# Energy of formation: -1676 meV/atom
# SG: C2/m (12)

=====

# Li7Mn10O24 | the Materials Project database | PBE with a Hubbard U | relaxed
data_Li7Mn10O24
_chemical_formula_sum 'Li7 Mn10 O24'
_cell_length_a 5.836
_cell_length_b 5.836
_cell_length_c 13.043
_cell_angle_alpha 77.27
_cell_angle_beta 77.27
_cell_angle_gamma 89.91
_space_group_name_H-M_alt 'P 1'
_space_group_IT_number 1
_space_group_name_Hall 'P 1'
loop_
_atom_site_label
_atom_site_type_symbol
_atom_site_fract_x
_atom_site_fract_y
_atom_site_fract_z
_atom_site_occupancy
Li1 Li 0.050 0.625 0.330 1
Li2 Li 0.375 0.950 0.670 1
Li3 Li 0.832 0.169 0.751 1
Li4 Li 0.292 0.382 0.833 1
Li5 Li 0.831 0.168 0.249 1
Li6 Li 0.618 0.708 0.167 1
Li7 Li 0.954 0.046 0.500 1
Mn1 Mn 0.166 0.497 0.084 1
Mn2 Mn 0.503 0.836 0.414 1
Mn3 Mn 0.503 0.330 0.415 1
Mn4 Mn 0.164 0.497 0.586 1
Mn5 Mn 0.996 0.837 0.915 1
Mn6 Mn 0.833 0.667 0.752 1
Mn7 Mn 0.670 0.497 0.585 1
Mn8 Mn 0.503 0.834 0.916 1
Mn9 Mn 0.333 0.167 0.248 1
Mn10 Mn 0.163 0.004 0.085 1
O1 O 0.108 0.404 0.237 1
O2 O 0.718 0.578 0.424 1
O3 O 0.422 0.726 0.573 1
O4 O 0.560 0.392 0.265 1
O5 O 0.274 0.578 0.427 1
O6 O 0.072 0.441 0.737 1
O7 O 0.058 0.894 0.763 1
O8 O 0.757 0.616 0.907 1
O9 O 0.750 0.042 0.918 1
O10 O 0.913 0.720 0.591 1
O11 O 0.608 0.440 0.735 1
O12 O 0.596 0.892 0.763 1
O13 O 0.395 0.756 0.073 1
O14 O 0.384 0.243 0.093 1
O15 O 0.106 0.942 0.237 1
O16 O 0.244 0.605 0.927 1
O17 O 0.247 0.053 0.924 1
O18 O 0.947 0.753 0.076 1
O19 O 0.958 0.250 0.082 1
O20 O 0.711 0.081 0.419 1
O21 O 0.559 0.928 0.263 1
O22 O 0.422 0.282 0.576 1
O23 O 0.280 0.087 0.409 1
O24 O 0.919 0.289 0.581 1
# Total magnetic moment: 29.00 μB/f.u.
# Energy of formation: -1986 meV/atom
# SG: C2 (5)

=====

# Li3Cr2P3O12 | the Materials Project database | PBE with a Hubbard U | relaxed
data_Li3Cr2P3O12
_chemical_formula_sum 'Li6 Cr4 P6 O24'
_cell_length_a 8.906
_cell_length_b 8.906
_cell_length_c 8.906
_cell_angle_alpha 56.14
_cell_angle_beta 56.14
_cell_angle_gamma 56.14
_space_group_name_H-M_alt 'P 1'
_space_group_IT_number 1
_space_group_name_Hall 'P 1'
loop_
_atom_site_label
_atom_site_type_symbol
_atom_site_fract_x
_atom_site_fract_y
_atom_site_fract_z
_atom_site_occupancy
Li1 Li 0.080 0.332 0.736 1
Li2 Li 0.920 0.668 0.264 1
Li3 Li 0.668 0.264 0.920 1
Li4 Li 0.264 0.920 0.668 1
Li5 Li 0.736 0.080 0.332 1
Li6 Li 0.332 0.736 0.080 1
Cr1 Cr 0.855 0.855 0.855 1
Cr2 Cr 0.651 0.651 0.651 1
Cr3 Cr 0.349 0.349 0.349 1
Cr4 Cr 0.145 0.145 0.145 1
P1 P 0.462 0.039 0.750 1
P2 P 0.750 0.462 0.039 1
P3 P 0.250 0.538 0.961 1
P4 P 0.538 0.961 0.250 1
P5 P 0.039 0.750 0.462 1
P6 P 0.961 0.250 0.538 1
O1 O 0.121 0.745 0.869 1
O2 O 0.463 0.842 0.788 1
O3 O 0.788 0.463 0.842 1
O4 O 0.842 0.788 0.463 1
O5 O 0.158 0.212 0.537 1
O6 O 0.212 0.537 0.158 1
O7 O 0.537 0.158 0.212 1
O8 O 0.170 0.533 0.493 1
O9 O 0.131 0.879 0.255 1
O10 O 0.004 0.804 0.616 1
O11 O 0.255 0.131 0.879 1
O12 O 0.869 0.121 0.745 1
O13 O 0.533 0.493 0.170 1
O14 O 0.196 0.384 0.996 1
O15 O 0.493 0.170 0.533 1
O16 O 0.384 0.996 0.196 1
O17 O 0.616 0.004 0.804 1
O18 O 0.879 0.255 0.131 1
O19 O 0.804 0.616 0.004 1
O20 O 0.467 0.507 0.830 1
O21 O 0.507 0.830 0.467 1
O22 O 0.745 0.869 0.121 1
O23 O 0.996 0.196 0.384 1
O24 O 0.830 0.467 0.507 1
# Offset from the most stable computed form: 0 meV/atom
# Total magnetic moment: 6.00 μB/f.u.
# Energy of formation: -2668 meV/atom
# SG: R-3 (148)

=====

Question: Number 7 is which compound?
Answer: Li7Mn10O24